1.
{"formula": "BaGd2Si3O10", "functional": "r2SCAN", "state": "relaxed", "cell": [[5.450, 0.000, 0.000], [0.000, 12.254, 0.000], [-1.959, 0.000, 6.665]], "species": ["Ba", "Ba", "Gd", "Gd", "Gd", "Gd", "Si", "Si", "Si", "Si", "Si", "Si", "O", "O", "O", "O", "O", "O", "O", "O", "O", "O", "O", "O", "O", "O", "O", "O", "O", "O", "O", "O"], "fractional_positions": [[0.238, 0.250, 0.482], [0.762, 0.750, 0.518], [0.161, 0.598, 0.187], [0.161, 0.902, 0.187], [0.839, 0.098, 0.813], [0.839, 0.402, 0.813], [0.305, 0.564, 0.715], [0.305, 0.936, 0.715], [0.414, 0.250, 0.010], [0.586, 0.750, 0.990], [0.695, 0.064, 0.285], [0.695, 0.436, 0.285], [0.101, 0.555, 0.849], [0.101, 0.945, 0.849], [0.123, 0.250, 0.866], [0.171, 0.626, 0.507], [0.171, 0.874, 0.507], [0.380, 0.750, 0.117], [0.425, 0.053, 0.689], [0.425, 0.447, 0.689], [0.451, 0.143, 0.158], [0.451, 0.357, 0.158], [0.549, 0.643, 0.842], [0.549, 0.857, 0.842], [0.575, 0.553, 0.311], [0.575, 0.947, 0.311], [0.620, 0.250, 0.883], [0.829, 0.126, 0.493], [0.829, 0.374, 0.493], [0.877, 0.750, 0.134], [0.899, 0.055, 0.151], [0.899, 0.445, 0.151]], "delta_e_f_ev_per_atom": -3.40, "m_tot_mub_per_atom": 0.88, "spacegroup": "P2_1/m, No. 11"}

***

2.
{"formula": "BaGd2Se4", "functional": "r2SCAN", "state": "relaxed", "cell": [[12.873, 0.000, 0.000], [0.000, 4.250, 0.000], [0.000, 0.000, 15.296]], "species": ["Ba", "Ba", "Ba", "Ba", "Gd", "Gd", "Gd", "Gd", "Gd", "Gd", "Gd", "Gd", "Se", "Se", "Se", "Se", "Se", "Se", "Se", "Se", "Se", "Se", "Se", "Se", "Se", "Se", "Se", "Se"], "fractional_positions": [[0.242, 0.250, 0.163], [0.258, 0.750, 0.663], [0.742, 0.250, 0.337], [0.758, 0.750, 0.837], [0.067, 0.250, 0.391], [0.079, 0.250, 0.899], [0.421, 0.750, 0.399], [0.433, 0.750, 0.891], [0.567, 0.250, 0.109], [0.579, 0.250, 0.601], [0.921, 0.750, 0.101], [0.933, 0.750, 0.609], [0.023, 0.750, 0.783], [0.083, 0.250, 0.578], [0.126, 0.750, 0.024], [0.208, 0.750, 0.333], [0.292, 0.250, 0.833], [0.374, 0.250, 0.524], [0.417, 0.750, 0.078], [0.477, 0.250, 0.283], [0.523, 0.750, 0.717], [0.583, 0.250, 0.922], [0.626, 0.750, 0.476], [0.708, 0.750, 0.167], [0.792, 0.250, 0.667], [0.874, 0.250, 0.976], [0.917, 0.750, 0.422], [0.977, 0.250, 0.217]], "delta_e_f_ev_per_atom": -2.25, "m_tot_mub_per_atom": 0.00, "spacegroup": "Pnma, No. 62"}

***

3.
{"formula": "BaGd2Te4", "functional": "r2SCAN", "state": "relaxed", "cell": [[13.846, 0.000, 0.000], [0.000, 4.530, 0.000], [0.000, 0.000, 16.415]], "species": ["Ba", "Ba", "Ba", "Ba", "Gd", "Gd", "Gd", "Gd", "Gd", "Gd", "Gd", "Gd", "Te", "Te", "Te", "Te", "Te", "Te", "Te", "Te", "Te", "Te", "Te", "Te", "Te", "Te", "Te", "Te"], "fractional_positions": [[0.240, 0.250, 0.168], [0.260, 0.750, 0.668], [0.740, 0.250, 0.332], [0.760, 0.750, 0.832], [0.062, 0.250, 0.390], [0.081, 0.250, 0.903], [0.419, 0.750, 0.403], [0.438, 0.750, 0.890], [0.562, 0.250, 0.110], [0.581, 0.250, 0.597], [0.919, 0.750, 0.097], [0.938, 0.750, 0.610], [0.026, 0.750, 0.784], [0.088, 0.250, 0.577], [0.128, 0.750, 0.028], [0.205, 0.750, 0.336], [0.295, 0.250, 0.836], [0.372, 0.250, 0.528], [0.412, 0.750, 0.077], [0.474, 0.250, 0.284], [0.526, 0.750, 0.716], [0.588, 0.250, 0.923], [0.628, 0.750, 0.472], [0.705, 0.750, 0.164], [0.795, 0.250, 0.664], [0.872, 0.250, 0.972], [0.912, 0.750, 0.423], [0.974, 0.250, 0.216]], "delta_e_f_ev_per_atom": -1.80, "m_tot_mub_per_atom": 0.00, "spacegroup": "Pnma, No. 62"}

***

4.
{"formula": "BaGe5", "functional": "r2SCAN", "state": "relaxed", "cell": [[-2.439, 4.217, 6.972], [2.439, -4.217, 6.972], [2.439, 4.217, -6.972]], "species": ["Ba", "Ba", "Ge", "Ge", "Ge", "Ge", "Ge", "Ge", "Ge", "Ge", "Ge", "Ge"], "fractional_positions": [[0.283, 0.033, 0.250], [0.717, 0.967, 0.750], [0.095, 0.193, 0.902], [0.105, 0.627, 0.478], [0.209, 0.807, 0.402], [0.351, 0.373, 0.978], [0.462, 0.712, 0.750], [0.538, 0.288, 0.250], [0.649, 0.627, 0.022], [0.791, 0.193, 0.598], [0.895, 0.373, 0.522], [0.905, 0.807, 0.098]], "delta_e_f_ev_per_atom": -0.17, "m_tot_mub_per_atom": 0.00, "spacegroup": "Imma, No. 74"}

***

5.
{"formula": "Ba5Ge3", "functional": "r2SCAN", "state": "relaxed", "cell": [[8.610, 0.000, 0.000], [0.000, 8.610, 0.000], [0.000, 0.000, 16.666]], "species": ["Ba", "Ba", "Ba", "Ba", "Ba", "Ba", "Ba", "Ba", "Ba", "Ba", "Ba", "Ba", "Ba", "Ba", "Ba", "Ba", "Ba", "Ba", "Ba", "Ba", "Ge", "Ge", "Ge", "Ge", "Ge", "Ge", "Ge", "Ge", "Ge", "Ge", "Ge", "Ge"], "fractional_positions": [[0.053, 0.583, 0.110], [0.053, 0.917, 0.610], [0.083, 0.553, 0.390], [0.083, 0.947, 0.890], [0.250, 0.250, 0.217], [0.250, 0.250, 0.717], [0.417, 0.553, 0.890], [0.417, 0.947, 0.390], [0.447, 0.583, 0.610], [0.447, 0.917, 0.110], [0.553, 0.083, 0.890], [0.553, 0.417, 0.390], [0.583, 0.053, 0.610], [0.583, 0.447, 0.110], [0.750, 0.750, 0.283], [0.750, 0.750, 0.783], [0.917, 0.053, 0.110], [0.917, 0.447, 0.610], [0.947, 0.083, 0.390], [0.947, 0.417, 0.890], [0.143, 0.643, 0.750], [0.143, 0.857, 0.250], [0.250, 0.250, 0.008], [0.250, 0.250, 0.508], [0.357, 0.643, 0.250], [0.357, 0.857, 0.750], [0.643, 0.143, 0.250], [0.643, 0.357, 0.750], [0.750, 0.750, 0.492], [0.750, 0.750, 0.992], [0.857, 0.143, 0.750], [0.857, 0.357, 0.250]], "delta_e_f_ev_per_atom": -0.57, "m_tot_mub_per_atom": 0.01, "spacegroup": "P4/ncc, No. 130"}

***

6.
{"formula": "Ba3Ge5", "functional": "r2SCAN", "state": "relaxed", "cell": [[5.204, -4.353, 0.000], [5.204, 4.353, 0.000], [0.000, 0.000, 10.421]], "species": ["Ba", "Ba", "Ba", "Ba", "Ba", "Ba", "Ge", "Ge", "Ge", "Ge", "Ge", "Ge", "Ge", "Ge", "Ge", "Ge"], "fractional_positions": [[0.155, 0.845, 0.750], [0.289, 0.289, 0.000], [0.289, 0.289, 0.500], [0.711, 0.711, 0.000], [0.711, 0.711, 0.500], [0.845, 0.155, 0.250], [0.036, 0.608, 0.250], [0.205, 0.795, 0.074], [0.205, 0.795, 0.426], [0.392, 0.964, 0.250], [0.427, 0.573, 0.250], [0.573, 0.427, 0.750], [0.608, 0.036, 0.750], [0.795, 0.205, 0.574], [0.795, 0.205, 0.926], [0.964, 0.392, 0.750]], "delta_e_f_ev_per_atom": -0.60, "m_tot_mub_per_atom": 0.00, "spacegroup": "Cmcm, No. 63"}

***

7.
{"formula": "BaGe", "functional": "r2SCAN", "state": "relaxed", "cell": [[2.545, -6.075, 0.000], [2.545, 6.075, 0.000], [0.000, 0.000, 4.329]], "species": ["Ba", "Ba", "Ge", "Ge"], "fractional_positions": [[0.138, 0.862, 0.750], [0.862, 0.138, 0.250], [0.437, 0.563, 0.750], [0.563, 0.437, 0.250]], "delta_e_f_ev_per_atom": -0.66, "m_tot_mub_per_atom": 0.00, "spacegroup": "Cmcm, No. 63"}

***

8.
{"formula": "BaGe2", "functional": "r2SCAN", "state": "relaxed", "cell": [[9.201, 0.000, 0.000], [0.000, 6.866, 0.000], [0.000, 0.000, 11.734]], "species": ["Ba", "Ba", "Ba", "Ba", "Ba", "Ba", "Ba", "Ba", "Ge", "Ge", "Ge", "Ge", "Ge", "Ge", "Ge", "Ge", "Ge", "Ge", "Ge", "Ge", "Ge", "Ge", "Ge", "Ge"], "fractional_positions": [[0.014, 0.250, 0.191], [0.155, 0.750, 0.406], [0.345, 0.250, 0.906], [0.486, 0.750, 0.691], [0.514, 0.250, 0.309], [0.655, 0.750, 0.094], [0.845, 0.250, 0.594], [0.986, 0.750, 0.809], [0.079, 0.750, 0.091], [0.192, 0.065, 0.648], [0.192, 0.435, 0.648], [0.196, 0.250, 0.461], [0.304, 0.750, 0.961], [0.308, 0.565, 0.148], [0.308, 0.935, 0.148], [0.421, 0.250, 0.591], [0.579, 0.750, 0.409], [0.692, 0.065, 0.852], [0.692, 0.435, 0.852], [0.696, 0.250, 0.039], [0.804, 0.750, 0.539], [0.808, 0.565, 0.352], [0.808, 0.935, 0.352], [0.921, 0.250, 0.909]], "delta_e_f_ev_per_atom": -0.59, "m_tot_mub_per_atom": 0.00, "spacegroup": "Pnma, No. 62"}

***

9.
{"formula": "BaGe2", "functional": "r2SCAN", "state": "relaxed", "cell": [[-2.403, 2.403, 7.377], [2.403, -2.403, 7.377], [2.403, 2.403, -7.377]], "species": ["Ba", "Ba", "Ge", "Ge", "Ge", "Ge"], "fractional_positions": [[0.375, 0.625, 0.750], [0.625, 0.375, 0.250], [0.042, 0.792, 0.250], [0.208, 0.958, 0.250], [0.792, 0.042, 0.750], [0.958, 0.208, 0.750]], "delta_e_f_ev_per_atom": -0.54, "m_tot_mub_per_atom": 0.00, "spacegroup": "I4_1/amd, No. 141"}

***

10.
{"formula": "BaLiGe2", "functional": "r2SCAN", "state": "relaxed", "cell": [[7.441, 0.000, 0.000], [0.000, 4.656, 0.000], [0.000, 0.000, 11.911]], "species": ["Ba", "Ba", "Ba", "Ba", "Li", "Li", "Li", "Li", "Ge", "Ge", "Ge", "Ge", "Ge", "Ge", "Ge", "Ge"], "fractional_positions": [[0.135, 0.250, 0.140], [0.365, 0.750, 0.640], [0.635, 0.250, 0.360], [0.865, 0.750, 0.860], [0.116, 0.250, 0.437], [0.384, 0.750, 0.937], [0.616, 0.250, 0.063], [0.884, 0.750, 0.563], [0.034, 0.250, 0.661], [0.202, 0.250, 0.846], [0.298, 0.750, 0.346], [0.466, 0.750, 0.161], [0.534, 0.250, 0.839], [0.702, 0.250, 0.654], [0.798, 0.750, 0.154], [0.966, 0.750, 0.339]], "delta_e_f_ev_per_atom": -0.59, "m_tot_mub_per_atom": 0.00, "spacegroup": "Pnma, No. 62"}

***

11.
{"formula": "BaMg2Ge2", "functional": "r2SCAN", "state": "relaxed", "cell": [[-2.333, 2.333, 5.696], [2.333, -2.333, 5.696], [2.333, 2.333, -5.696]], "species": ["Ba", "Mg", "Mg", "Ge", "Ge"], "fractional_positions": [[0.000, 0.000, 0.000], [0.250, 0.750, 0.500], [0.750, 0.250, 0.500], [0.384, 0.384, 0.000], [0.616, 0.616, 0.000]], "delta_e_f_ev_per_atom": -0.52, "m_tot_mub_per_atom": 0.00, "spacegroup": "I4/mmm, No. 139"}

***

12.
{"formula": "Ba2MgGe2", "functional": "r2SCAN", "state": "relaxed", "cell": [[3.444, 0.000, 0.000], [0.000, 3.444, 0.000], [0.000, 0.000, 15.200]], "species": ["Ba", "Ba", "Mg", "Ge", "Ge"], "fractional_positions": [[0.000, 0.000, 0.124], [0.000, 0.000, 0.876], [0.000, 0.000, 0.500], [0.000, 0.000, 0.330], [0.000, 0.000, 0.670]], "delta_e_f_ev_per_atom": 0.63, "m_tot_mub_per_atom": 0.03, "spacegroup": "P4/mmm, No. 123"}